DFT (GGA-PBE) results for an optimized crystal structure of CsU2H3C4O14.

Size of the total moment, μB/cell: 0.000

abc: 13.7099 5.5719 9.6739
angles: 82.49 90.00 90.00
Last column: nearest neighbours and their distance in Å.
Element x y z (fractional)
Cs  0.7500  0.4595  0.6394  8 O 3.13-3.39, 2 H 3.41
Cs  0.2500  0.5405  0.3606  8 O 3.13-3.39, 2 H 3.41
U  0.5887  0.7815  0.2386  2 O 1.80-1.81
U  0.9113  0.7815  0.2386  2 O 1.80-1.81
U  0.0887  0.2185  0.7614  2 O 1.80-1.81
U  0.4113  0.2185  0.7614  2 O 1.80-1.81
H  0.8048  0.8592  0.8670  1 O 0.98
H  0.7500  0.0626  0.1367  1 O 0.97
H  0.2500  0.9374  0.8633  1 O 0.97
H  0.1952  0.1408  0.1330  1 O 0.98
H  0.3048  0.1408  0.1330  1 O 0.98
H  0.6952  0.8592  0.8670  1 O 0.98
C  0.0486  0.4841  0.0396  2 O 1.26-1.27
C  0.9514  0.5159  0.9604  2 O 1.26-1.27
C  0.9484  0.0371  0.5201  2 O 1.26
C  0.4514  0.4841  0.0396  2 O 1.26-1.27
C  0.0516  0.9629  0.4799  2 O 1.26
C  0.4484  0.9629  0.4799  2 O 1.26
C  0.5516  0.0371  0.5201  2 O 1.26
C  0.5486  0.5159  0.9604  2 O 1.26-1.27
O  0.4461  0.5705  0.1538  1 C 1.26
O  0.6271  0.4989  0.3359  1 U 1.80
O  0.4465  0.9323  0.8579  1 U 1.81
O  0.0568  0.8332  0.3822  1 C 1.26
O  0.8729  0.4989  0.3359  1 U 1.80
O  0.7500  0.9063  0.1952  1 H 0.97
O  0.6214  0.9606  0.4524  1 C 1.26
O  0.8839  0.6264  0.0163  1 C 1.27
O  0.9461  0.4295  0.8462  1 C 1.26
O  0.7500  0.9443  0.8182  2 H 0.98
O  0.0539  0.5705  0.1538  1 C 1.26
O  0.9465  0.0677  0.1421  1 U 1.81
O  0.5568  0.1668  0.6178  1 C 1.26
O  0.3786  0.0394  0.5476  1 C 1.26
O  0.3839  0.3736  0.9837  1 C 1.27
O  0.1161  0.3736  0.9837  1 C 1.27
O  0.1214  0.0394  0.5476  1 C 1.26
O  0.0535  0.9323  0.8579  1 U 1.81
O  0.2500  0.0937  0.8048  1 H 0.97
O  0.9432  0.1668  0.6178  1 C 1.26
O  0.1271  0.5011  0.6641  1 U 1.80
O  0.5539  0.4295  0.8462  1 C 1.26
O  0.6161  0.6264  0.0163  1 C 1.27
O  0.2500  0.0557  0.1819  2 H 0.98
O  0.8786  0.9606  0.4524  1 C 1.26
O  0.5535  0.0677  0.1421  1 U 1.81
O  0.4432  0.8332  0.3822  1 C 1.26
O  0.3729  0.5011  0.6641  1 U 1.80

DFT (GGA-PBE) results for an optimized crystal structure of Zn5NiN4.

Size of the total moment, μB/cell: 0.000

abc: 8.4986 5.9240 5.3590
angles: 90.00 90.00 90.00
Last column: nearest neighbours and their distance in Å.
Element x y z (fractional)
Zn  0.5738  0.5107  0.2888  3 N 1.96-2.07
Zn  0.9262  0.5107  0.2888  3 N 1.96-2.07
Zn  0.5738  0.9893  0.2888  3 N 1.96-2.07
Zn  0.9262  0.9893  0.2888  3 N 1.96-2.07
Zn  0.4262  0.4893  0.7112  3 N 1.96-2.07
Zn  0.0738  0.4893  0.7112  3 N 1.96-2.07
Zn  0.4262  0.0107  0.7112  3 N 1.96-2.07
Zn  0.0738  0.0107  0.7112  3 N 1.96-2.07
Zn  0.7500  0.7500  0.7767  4 N 2.05-2.09
Zn  0.2500  0.2500  0.2233  4 N 2.05-2.09
Ni  0.7500  0.2500  0.8785  2 N 1.76
Ni  0.2500  0.7500  0.1215  2 N 1.76
N  0.7500  0.9992  0.0541  1 Ni 1.76, 2 Zn 1.96
N  0.7500  0.5008  0.0541  1 Ni 1.76, 2 Zn 1.96
N  0.2500  0.0008  0.9459  1 Ni 1.76, 2 Zn 1.96
N  0.2500  0.4992  0.9459  1 Ni 1.76, 2 Zn 1.96
N  0.5488  0.7500  0.5666  5 Zn 2.02-2.07
N  0.9512  0.7500  0.5666  5 Zn 2.02-2.07
N  0.4512  0.2500  0.4334  5 Zn 2.02-2.07
N  0.0488  0.2500  0.4334  5 Zn 2.02-2.07

DFT (GGA-PBE) results for an optimized crystal structure of FePd2.

Size of the total moment, μB/cell: 3.577

abc: 2.7164 2.7164 6.4923
angles: 90.00 90.00 120.00
Last column: nearest neighbours and their distance in Å.
Element x y z (fractional)
Fe  0.0000  0.0000  0.0000  6 Pd 2.58, 6 Fe 2.72
Pd  0.3333  0.6667  0.6836  3 Fe 2.58, 9 Pd 2.72-2.85
Pd  0.6667  0.3333  0.3164  3 Fe 2.58, 9 Pd 2.72-2.85

DFT (GGA-PBE) results for an optimized crystal structure of Ce5S8.

Size of the total moment, μB/cell: 4.012

abc: 8.3456 8.3456 8.3456
angles: 60.00 60.00 60.00
Last column: nearest neighbours and their distance in Å.
Element x y z (fractional)
Ce  0.1127  0.6291  0.6291  6 S 2.74-2.89
Ce  0.6291  0.1127  0.6291  6 S 2.74-2.89
Ce  0.6291  0.6291  0.1127  6 S 2.74-2.89
Ce  0.6291  0.6291  0.6291  6 S 2.74-2.89
Ce  0.2500  0.2500  0.2500  4 S 2.76
S  0.8456  0.3848  0.3848  4 Ce 2.76-2.89
S  0.3848  0.8456  0.3848  4 Ce 2.76-2.89
S  0.3848  0.3848  0.8456  4 Ce 2.76-2.89
S  0.3848  0.3848  0.3848  4 Ce 2.76-2.89
S  0.4176  0.8608  0.8608  3 Ce 2.74
S  0.8608  0.4176  0.8608  3 Ce 2.74
S  0.8608  0.8608  0.4176  3 Ce 2.74
S  0.8608  0.8608  0.8608  3 Ce 2.74

DFT (GGA-PBE) results for an optimized crystal structure of LiMg2H7Os.

Size of the total moment, μB/cell: 0.000

abc: 4.7165 4.7165 10.7863
angles: 90.00 90.00 120.00
Last column: nearest neighbours and their distance in Å.
Element x y z (fractional)
Li  0.0000  0.0000  0.2500  6 H 2.15
Li  0.0000  0.0000  0.7500  6 H 2.15
Mg  0.3333  0.6667  0.0759  1 H 1.88
Mg  0.6667  0.3333  0.9241  1 H 1.88
Mg  0.6667  0.3333  0.5759  1 H 1.88
Mg  0.3333  0.6667  0.4241  1 H 1.88
H  0.3333  0.6667  0.2500  2 Mg 1.88
H  0.6667  0.3333  0.7500  2 Mg 1.88
H  0.1667  0.3333  0.5952  1 Os 1.71
H  0.8333  0.6667  0.4048  1 Os 1.71
H  0.6667  0.8333  0.5952  1 Os 1.71
H  0.8333  0.6667  0.0952  1 Os 1.71
H  0.3333  0.1667  0.4048  1 Os 1.71
H  0.1667  0.3333  0.9048  1 Os 1.71
H  0.1667  0.8333  0.5952  1 Os 1.71
H  0.3333  0.1667  0.0952  1 Os 1.71
H  0.8333  0.1667  0.4048  1 Os 1.71
H  0.6667  0.8333  0.9048  1 Os 1.71
H  0.8333  0.1667  0.0952  1 Os 1.71
H  0.1667  0.8333  0.9048  1 Os 1.71
Os  0.0000  0.0000  0.0000  6 H 1.71
Os  0.0000  0.0000  0.5000  6 H 1.71

DFT (GGA-PBE) results for an optimized crystal structure of ZnC4N6.

Size of the total moment, μB/cell: 0.000

abc: 7.6923 7.7079 12.1368
angles: 90.00 90.00 90.00
Last column: nearest neighbours and their distance in Å.
Element x y z (fractional)
Zn  0.7500  0.7309  0.1516  4 N 1.96-1.98
Zn  0.2500  0.2691  0.8484  4 N 1.96-1.98
Zn  0.2500  0.7691  0.6516  4 N 1.96-1.98
Zn  0.7500  0.2309  0.3484  4 N 1.96-1.98
C  0.2500  0.4183  0.5225  2 N 1.18-1.29
C  0.2500  0.6220  0.9747  2 N 1.17-1.29
C  0.7500  0.8780  0.4747  2 N 1.17-1.29
C  0.2500  0.9183  0.9775  2 N 1.18-1.29
C  0.6011  0.7229  0.7722  2 N 1.18-1.28
C  0.3989  0.7771  0.2722  2 N 1.18-1.28
C  0.6011  0.2229  0.7278  2 N 1.18-1.28
C  0.7500  0.3780  0.0253  2 N 1.17-1.29
C  0.1011  0.2771  0.2278  2 N 1.18-1.28
C  0.8989  0.2229  0.7278  2 N 1.18-1.28
C  0.1011  0.7771  0.2722  2 N 1.18-1.28
C  0.3989  0.2771  0.2278  2 N 1.18-1.28
C  0.7500  0.5817  0.4775  2 N 1.18-1.29
C  0.8989  0.7229  0.7722  2 N 1.18-1.28
C  0.7500  0.0817  0.0225  2 N 1.18-1.29
C  0.2500  0.1220  0.5253  2 N 1.17-1.29
N  0.0415  0.7623  0.7468  1 C 1.18
N  0.2500  0.2691  0.4747  2 C 1.29
N  0.7500  0.1719  0.6924  2 C 1.28
N  0.7500  0.4396  0.4424  1 C 1.18
N  0.7500  0.2309  0.9747  2 C 1.29
N  0.9585  0.2377  0.2532  1 C 1.18
N  0.0415  0.2623  0.7532  1 C 1.18
N  0.2500  0.3281  0.1924  2 C 1.28
N  0.7500  0.0178  0.4362  1 C 1.17
N  0.2500  0.8281  0.3076  2 C 1.28
N  0.4585  0.7623  0.7468  1 C 1.18
N  0.2500  0.5604  0.5576  1 C 1.18
N  0.5415  0.2377  0.2532  1 C 1.18
N  0.9585  0.7377  0.2468  1 C 1.18
N  0.2500  0.7691  0.0253  2 C 1.29
N  0.2500  0.0604  0.9424  1 C 1.18
N  0.4585  0.2623  0.7532  1 C 1.18
N  0.2500  0.9822  0.5638  1 C 1.17
N  0.7500  0.6719  0.8076  2 C 1.28
N  0.7500  0.5178  0.0638  1 C 1.17
N  0.2500  0.4822  0.9362  1 C 1.17
N  0.7500  0.9396  0.0576  1 C 1.18
N  0.7500  0.7309  0.5253  2 C 1.29
N  0.5415  0.7377  0.2468  1 C 1.18

DFT (GGA-PBE) results for an optimized crystal structure of Y6AgGe2S14.

Size of the total moment, μB/cell: 1.005

abc: 9.8789 9.8789 5.8023
angles: 90.00 90.00 120.00
Last column: nearest neighbours and their distance in Å.
Element x y z (fractional)
Y  0.0241  0.4692  0.2552  7 S 2.75-3.02
Y  0.5308  0.5549  0.2552  7 S 2.75-3.02
Y  0.4451  0.9759  0.2552  7 S 2.75-3.02
Y  0.3096  0.1989  0.7550  7 S 2.76-3.03
Y  0.8011  0.1108  0.7550  7 S 2.76-3.03
Y  0.8892  0.6904  0.7550  7 S 2.76-3.03
Ag  0.6667  0.3333  0.5373  6 S 2.66-2.70
Ge  0.0000  0.0000  0.1791  4 S 2.20-2.25
Ge  0.3333  0.6667  0.6733  4 S 2.20-2.25
S  0.0000  0.0000  0.5587  1 Ge 2.20
S  0.3333  0.6667  0.0526  1 Ge 2.20
S  0.9286  0.4336  0.7919  1 Ag 2.70, 3 Y 2.76-2.81
S  0.5664  0.4950  0.7919  1 Ag 2.70, 3 Y 2.76-2.81
S  0.5050  0.0714  0.7919  1 Ag 2.70, 3 Y 2.76-2.81
S  0.4043  0.2302  0.2968  1 Ag 2.66, 3 Y 2.75-2.81
S  0.7698  0.1741  0.2968  1 Ag 2.66, 3 Y 2.75-2.81
S  0.8259  0.5957  0.2968  1 Ag 2.66, 3 Y 2.75-2.81
S  0.1872  0.7564  0.5107  1 Ge 2.25
S  0.2436  0.4308  0.5107  1 Ge 2.25
S  0.5692  0.8128  0.5107  1 Ge 2.25
S  0.1476  0.9115  0.0158  1 Ge 2.25
S  0.0885  0.2361  0.0158  1 Ge 2.25
S  0.7639  0.8524  0.0158  1 Ge 2.25

Number 1: energy of formation -2.236 eV/atom. Number 2: energy of formation 0.138 eV/atom. Number 3: energy of formation -0.045 eV/atom. Number 4: energy of formation -2.151 eV/atom. Number 5: energy of formation -0.339 eV/atom. Number 6: energy of formation 0.029 eV/atom. Number 7: energy of formation -1.717 eV/atom.